Material: Mg3Sb2
Method: DFT, meta-GGA r2SCAN
State: optimized geometry

Structure (POSCAR):
```
Mg3Sb2
1.0
-0.425 -0.047 4.552
0.025 -3.931 -2.335
7.205 -0.351 0.669
Mg Sb
3 2
direct
0.000 0.000 0.000
0.333 0.667 0.367
0.667 0.333 0.633
0.333 0.667 0.772
0.667 0.333 0.228
```

Calculated values
Calculated total energy   -66.3 eV/cell
SG   P-3m1, No. 164
Calculated formation energy   -46 kJ/mol of atoms
Total magnetization   0.000 μB/atom